Compound: Li2AgBi
Source: Materials Project
Functional: meta-GGA r2SCAN
Structure: relaxed

Excess energy over the best structure of this formula in the dataset: 0.000 kcal/mol of atoms

a = 4.7986 Å, b = 4.7986 Å, c = 4.7986 Å
α = 60.00°, β = 60.00°, γ = 60.00°
Sites, in units of the cell vectors:
Li (0.0000, 0.0000, 0.0000)
Li (0.2500, 0.2500, 0.2500)
Ag (0.5000, 0.5000, 0.5000)
Bi (0.7500, 0.7500, 0.7500)